[1]
Compound: Ti2CdO6
Source: Materials Project
Functional: PBE
Structure: optimized geometry

CIF file:
```
data_Ti2CdO6
_chemical_formula_sum 'Ti4 Cd2 O12'
_space_group_name_H-M_alt 'P 1'
_space_group_IT_number 1
_cell_length_a 5.734
_cell_length_b 6.165
_cell_length_c 7.061
_cell_angle_alpha 87.96
_cell_angle_beta 85.06
_cell_angle_gamma 89.42
loop_
_space_group_symop_operation_xyz
'x,y,z'
loop_
_atom_site_label
_atom_site_type_symbol
_atom_site_fract_x
_atom_site_fract_y
_atom_site_fract_z
_atom_site_occupancy
Ti1 Ti 0.000 0.000 0.000 1
Ti2 Ti 0.068 0.150 0.481 1
Ti3 Ti 0.496 0.666 0.005 1
Ti4 Ti 0.638 0.628 0.482 1
Cd1 Cd 0.082 0.620 0.736 1
Cd2 Cd 0.559 0.133 0.265 1
O1 O 0.058 0.012 0.739 1
O2 O 0.161 0.085 0.215 1
O3 O 0.168 0.730 0.017 1
O4 O 0.337 0.266 0.509 1
O5 O 0.464 0.662 0.713 1
O6 O 0.481 0.604 0.266 1
O7 O 0.686 0.903 0.019 1
O8 O 0.696 0.419 0.931 1
O9 O 0.791 0.880 0.446 1
O10 O 0.850 0.400 0.604 1
O11 O 0.851 0.307 0.056 1
O12 O 0.878 0.397 0.384 1
```

Values from the calculation:
- ΔE_f (eV/atom) = -2.103
- energy (eV/atom) = -7.151
- total magnetic moment (μB per atom) = 0.00
- density (g cm⁻³) = 4.06

[2]
Compound: TiCdO3
Source: Materials Project
Functional: PBE
Structure: optimized geometry

CIF file:
```
data_TiCdO3
_chemical_formula_sum 'Ti4 Cd4 O12'
_space_group_name_H-M_alt 'P n a 21'
_space_group_IT_number 33
_cell_length_a 5.494
_cell_length_b 5.360
_cell_length_c 7.812
_cell_angle_alpha 90.00
_cell_angle_beta 90.00
_cell_angle_gamma 90.00
loop_
_space_group_symop_operation_xyz
'x,y,z'
'-x,-y,z+1/2'
'-x+1/2,y+1/2,z+1/2'
'x+1/2,-y+1/2,z'
loop_
_atom_site_label
_atom_site_type_symbol
_atom_site_fract_x
_atom_site_fract_y
_atom_site_fract_z
_atom_site_occupancy
Ti1 Ti 0.010 0.001 0.000 1
Cd1 Cd 0.037 0.489 0.252 1
O1 O 0.030 0.093 0.769 1
O2 O 0.189 0.698 0.969 1
O3 O 0.221 0.707 0.566 1
```

Values from the calculation:
- ΔE_f (eV/atom) = -2.640
- energy (eV/atom) = -6.960
- total magnetic moment (μB per atom) = 0.00
- density (g cm⁻³) = 6.01

[3]
Compound: Ti2CdO6
Source: Materials Project
Functional: PBE
Structure: optimized geometry

CIF file:
```
data_Ti2CdO6
_chemical_formula_sum 'Ti2 Cd1 O6'
_space_group_name_H-M_alt 'P -3 1 m'
_space_group_IT_number 162
_space_group_name_Hall '-P 3 2'
_cell_length_a 5.2163
_cell_length_b 5.2163
_cell_length_c 4.6595
_cell_angle_alpha 90.00
_cell_angle_beta 90.00
_cell_angle_gamma 120.00
loop_
_atom_site_label
_atom_site_type_symbol
_atom_site_fract_x
_atom_site_fract_y
_atom_site_fract_z
_atom_site_occupancy
Ti1 Ti 0.3333 0.6667 0.0000 1
Cd1 Cd 0.0000 0.0000 0.5000 1
O1 O 0.0000 0.3646 0.2248 1
```

Values from the calculation:
- ΔE_f (eV/atom) = -2.483
- energy (eV/atom) = -7.180
- total magnetic moment (μB per atom) = 0.22
- density (g cm⁻³) = 4.60